! CaMn6SiO12 meta-GGA r2SCAN relaxed; values from VASP
&SYSTEM
  ibrav = 0, nat = 80, ntyp = 4
/
ATOMIC_SPECIES
Ca 40.08 Ca.upf
Mn 54.94 Mn.upf
Si 28.09 Si.upf
O 16.00 O.upf
CELL_PARAMETERS angstrom
-4.736 4.736 9.435
4.736 -4.736 9.435
4.736 4.736 -9.435
ATOMIC_POSITIONS angstrom
Ca 4.736 2.368 -2.359
Ca 0.000 2.368 2.359
Ca 4.736 2.368 7.076
Ca 0.000 2.368 11.794
Mn 0.000 0.000 0.000
Mn 2.368 2.368 -4.717
Mn 2.368 -2.368 4.717
Mn 4.736 0.000 0.000
Mn 2.490 -0.122 2.359
Mn 7.226 0.122 2.359
Mn 2.368 2.099 0.000
Mn 0.269 0.000 4.717
Mn 5.005 0.000 4.717
Mn 2.368 -2.099 9.435
Mn 2.490 4.614 -2.359
Mn 2.490 0.122 7.076
Mn -2.368 2.368 4.717
Mn 0.000 4.736 0.000
Mn 0.000 0.000 9.435
Mn 2.368 2.368 4.717
Mn 2.246 4.614 2.359
Mn 2.246 0.122 11.794
Mn 2.368 6.835 0.000
Mn -0.269 4.736 4.717
Mn 4.467 4.736 4.717
Mn 2.368 2.637 9.435
Mn -2.490 4.614 7.076
Mn 2.246 4.858 7.076
Si 4.736 -2.368 7.076
Si 4.736 2.368 2.359
Si 0.000 2.368 7.076
Si 0.000 7.104 2.359
O 5.810 3.136 -6.135
O 3.392 0.752 -1.068
O 0.768 1.294 -1.418
O 6.203 1.268 -0.979
O 6.352 -1.024 3.649
O 3.636 -0.901 3.738
O 1.344 0.752 1.068
O 5.810 -1.600 6.135
O 8.005 1.268 0.979
O 1.616 -1.024 5.785
O 3.636 3.835 -3.738
O 3.968 1.294 1.418
O 3.968 -1.294 8.017
O 3.636 5.637 -5.697
O 1.616 1.024 3.649
O 3.269 3.468 -0.979
O 5.810 1.600 3.299
O 1.344 -0.752 8.367
O 3.636 0.901 5.697
O 6.352 1.024 5.785
O 1.467 3.468 0.979
O 5.504 3.442 1.418
O 3.392 -0.752 10.503
O 1.074 1.600 6.135
O 3.662 3.136 3.299
O 1.344 5.488 -1.068
O -0.768 1.294 8.017
O 3.269 1.268 8.455
O -1.616 3.712 3.649
O 1.100 3.835 3.738
O 3.392 5.488 1.068
O -1.074 3.136 6.135
O 1.467 1.268 10.414
O 3.120 3.712 5.785
O 1.100 -0.901 15.132
O 0.768 6.030 1.418
O 0.768 3.442 8.017
O 1.100 0.901 13.173
O 3.120 5.760 3.649
O -3.269 3.468 8.455
O -1.074 6.336 3.299
O 3.392 3.984 8.367
O 1.100 5.637 5.697
O -1.616 5.760 5.785
O -1.467 3.468 10.414
O 3.968 3.442 10.853
O 1.344 3.984 10.503
O -1.074 1.600 15.570
! SG: I4_1/acd
! Formation enthalpy at 0 K, eV/atom: -2.4397
! Magnetic moment, μB per formula unit: 24.00
! Volume, Å³ per atom: 10.581
! Calculated density, g/cm3: 4.63